# 1
U6Al39Mo8: optimized geometry, PBE-GGA.

```
U6Al39Mo8
1.0
0.037 10.529 3.264
-4.281 -7.780 6.532
15.592 -2.353 7.417
Al U Mo
78 12 16
Direct
0.400 0.549 0.750
0.149 0.549 0.250
0.000 0.842 0.614
0.842 0.000 0.614
0.766 0.164 0.160
0.501 0.251 0.000
0.766 0.602 0.840
0.155 0.155 0.250
0.842 0.842 0.386
0.000 0.842 0.886
0.155 0.000 0.750
0.745 0.745 0.528
0.251 0.749 0.000
0.000 0.158 0.114
0.149 0.600 0.750
0.000 0.158 0.386
0.602 0.836 0.340
0.549 0.149 0.250
0.234 0.398 0.160
0.251 0.501 0.000
0.398 0.234 0.340
0.766 0.602 0.660
0.600 0.451 0.250
0.234 0.836 0.660
0.499 0.749 0.000
0.845 0.000 0.250
0.164 0.766 0.160
0.745 0.745 0.972
0.749 0.499 0.000
0.255 0.255 0.472
0.845 0.845 0.750
0.602 0.766 0.660
0.255 0.000 0.528
0.451 0.600 0.250
0.842 0.000 0.886
0.499 0.749 0.500
0.749 0.251 0.000
0.000 0.255 0.528
0.842 0.842 0.114
0.000 0.255 0.972
0.164 0.398 0.660
0.251 0.501 0.500
0.000 0.745 0.028
0.766 0.164 0.340
0.836 0.234 0.840
0.158 0.158 0.614
0.251 0.749 0.500
0.164 0.766 0.340
0.745 0.000 0.472
0.000 0.155 0.750
0.836 0.602 0.340
0.501 0.251 0.500
0.400 0.851 0.250
0.602 0.836 0.160
0.158 0.000 0.114
0.549 0.400 0.750
0.158 0.000 0.386
0.602 0.766 0.840
0.255 0.000 0.972
0.851 0.400 0.250
0.000 0.845 0.250
0.749 0.499 0.500
0.398 0.234 0.160
0.836 0.602 0.160
0.398 0.164 0.840
0.234 0.398 0.340
0.600 0.149 0.750
0.451 0.851 0.750
0.234 0.836 0.840
0.398 0.164 0.660
0.749 0.251 0.500
0.000 0.745 0.472
0.164 0.398 0.840
0.836 0.234 0.660
0.158 0.158 0.886
0.255 0.255 0.028
0.745 0.000 0.028
0.851 0.451 0.750
0.473 0.000 0.410
0.527 0.000 0.910
0.000 0.473 0.410
0.473 0.473 0.590
0.000 0.473 0.090
0.473 0.473 0.910
0.473 0.000 0.090
0.527 0.527 0.410
0.527 0.000 0.590
0.000 0.527 0.910
0.527 0.527 0.090
0.000 0.527 0.590
0.000 0.000 0.500
0.333 0.667 0.131
0.262 0.000 0.250
0.667 0.333 0.631
0.262 0.262 0.750
0.667 0.333 0.131
0.000 0.738 0.750
0.000 0.262 0.250
0.333 0.667 0.869
0.333 0.667 0.369
0.738 0.738 0.250
0.738 0.000 0.750
0.667 0.333 0.869
0.667 0.333 0.369
0.333 0.667 0.631
0.000 0.000 0.000
```

## Properties
Energy of formation (eV per atom): -0.22
Space-group type: P6_3/mcm

# 2
ZrAlMo: optimized geometry, PBE-GGA.

```
ZrAlMo
1.0
2.649 -4.612 0.000
2.649 4.612 0.000
0.000 0.000 8.890
Al Zr Mo
4 4 4
Direct
0.341 0.169 0.000
0.831 0.659 0.000
0.996 0.004 0.249
0.996 0.004 0.751
0.670 0.330 0.315
0.335 0.665 0.814
0.335 0.665 0.186
0.670 0.330 0.685
0.169 0.343 0.500
0.657 0.831 0.500
0.832 0.168 0.000
0.169 0.831 0.500
```

## Properties
Energy of formation (eV per atom): -0.34
Space-group type: Amm2

# 3
AlN: optimized geometry, PBE-GGA.

```
AlN
1.0
-1.383 -0.639 2.714
-0.632 2.296 2.003
-2.947 0.872 0.488
N Al
1 1
Direct
0.250 0.250 0.250
0.000 0.000 0.000
```

## Properties
Energy of formation (eV per atom): -1.56
Largest piezoelectric modulus (C/m2): 0.50
Corrected total energy (MP2020 scheme) (eV per atom): -7.6041
Space-group type: F-43m

# 4
AlN: optimized geometry, PBE-GGA.

```
AlN
1.0
0.000 2.035 2.035
2.035 0.000 2.035
2.035 2.035 0.000
N Al
1 1
Direct
0.000 0.000 0.000
0.500 0.500 0.500
```

## Properties
Energy of formation (eV per atom): -1.41
Corrected total energy (MP2020 scheme) (eV per atom): -7.4534
Space-group type: Fm-3m